No. 1
The following is a DFT calculation (PBE with a Hubbard U) of a relaxed structure of ReWO6.

The value obtained for the magnetization is 0.00 μB/cell. The space-group type is P2_1/c. The calculation puts the energy relative to the lowest polymorph listed for this composition at 0.011 eV/atom. The formation energy comes out at -2.1271 eV/atom.

Cell lengths 5.3298, 5.3825, 9.2654 Å; angles 90.00, 125.11, 90.00 degrees
With the nearest neighbours (Å) after each atom.
Sites, in units of the cell vectors:
Re 0.0000 0.0000 0.0000  6 O 1.90
Re 0.0000 0.5000 0.5000  6 O 1.90
W 0.5000 0.0000 0.5000  6 O 1.94
W 0.5000 0.5000 0.0000  6 O 1.94
O 0.1918 0.2236 0.4740  1 Re 1.90, 1 W 1.94
O 0.1918 0.2764 0.9740  1 Re 1.90, 1 W 1.94
O 0.2509 0.7181 0.4740  1 Re 1.90, 1 W 1.94
O 0.2509 0.7819 0.9740  1 Re 1.90, 1 W 1.94
O 0.3004 0.0057 0.2474  1 Re 1.90, 1 W 1.94
O 0.3004 0.4943 0.7474  1 Re 1.90, 1 W 1.94
O 0.6996 0.5057 0.2526  1 Re 1.90, 1 W 1.94
O 0.6996 0.9943 0.7526  1 Re 1.90, 1 W 1.94
O 0.7491 0.2181 0.0260  1 Re 1.90, 1 W 1.94
O 0.7491 0.2819 0.5260  1 Re 1.90, 1 W 1.94
O 0.8082 0.7236 0.0260  1 Re 1.90, 1 W 1.94
O 0.8082 0.7764 0.5260  1 Re 1.90, 1 W 1.94

---

No. 2
The following is a DFT calculation (PBE with a Hubbard U) of a relaxed structure of Sr6V9S22O2.

The value obtained for the magnetization is 11.00 μB/cell. The space-group type is R-3. The formation energy comes out at -1.4448 eV/atom.

Cell lengths 12.8521, 12.8521, 12.8521 Å; angles 41.52, 41.52, 41.52 degrees
With the nearest neighbours (Å) after each atom.
Sites, in units of the cell vectors:
Sr 0.0116 0.5873 0.2364  1 O 2.72, 1 S 3.04
Sr 0.2364 0.0116 0.5873  1 O 2.72, 1 S 3.04
Sr 0.4127 0.7636 0.9884  1 O 2.72, 1 S 3.04
Sr 0.5873 0.2364 0.0116  1 O 2.72, 1 S 3.04
Sr 0.7636 0.9884 0.4127  1 O 2.72, 1 S 3.04
Sr 0.9884 0.4127 0.7636  1 O 2.72, 1 S 3.04
V 0.0617 0.6497 0.7886  6 S 2.42-2.47
V 0.2114 0.9383 0.3503  6 S 2.42-2.47
V 0.3461 0.3461 0.3461  1 O 1.73
V 0.3503 0.2114 0.9383  6 S 2.42-2.47
V 0.5000 0.5000 0.5000  6 S 2.40
V 0.6497 0.7886 0.0617  6 S 2.42-2.47
V 0.6539 0.6539 0.6539  1 O 1.73
V 0.7886 0.0617 0.6497  6 S 2.42-2.47
V 0.9383 0.3503 0.2114  6 S 2.42-2.47
S 0.0169 0.1580 0.4483  3 V 2.42-2.47
S 0.0301 0.0301 0.0301  1 S 2.12
S 0.1241 0.1241 0.1241  3 V 2.43
S 0.1469 0.6007 0.3481  1 V 2.18
S 0.1580 0.4483 0.0169  3 V 2.42-2.47
S 0.2682 0.4188 0.6976  3 V 2.40-2.47
S 0.3024 0.7318 0.5812  3 V 2.40-2.47
S 0.3481 0.1469 0.6007  1 V 2.18
S 0.3993 0.6519 0.8531  1 V 2.18
S 0.4188 0.6976 0.2682  3 V 2.40-2.47
S 0.4483 0.0169 0.1580  3 V 2.42-2.47
S 0.5517 0.9831 0.8420  3 V 2.42-2.47
S 0.5812 0.3024 0.7318  3 V 2.40-2.47
S 0.6007 0.3481 0.1469  1 V 2.18
S 0.6519 0.8531 0.3993  1 V 2.18
S 0.6976 0.2682 0.4188  3 V 2.40-2.47
S 0.7318 0.5812 0.3024  3 V 2.40-2.47
S 0.8420 0.5517 0.9831  3 V 2.42-2.47
S 0.8531 0.3993 0.6519  1 V 2.18
S 0.8759 0.8759 0.8759  3 V 2.43
S 0.9699 0.9699 0.9699  1 S 2.12
S 0.9831 0.8420 0.5517  3 V 2.42-2.47
O 0.2968 0.2968 0.2968  1 V 1.73
O 0.7032 0.7032 0.7032  1 V 1.73

---

No. 3
The following is a DFT calculation (PBE with a Hubbard U) of a relaxed structure of VSO4.

The value obtained for the magnetization is 0.00 μB/cell. The space-group type is Pnma. The formation energy comes out at -2.0570 eV/atom.

Cell lengths 8.9238, 6.8522, 4.9054 Å; angles 90.00, 90.00, 90.00 degrees
With the nearest neighbours (Å) after each atom.
Sites, in units of the cell vectors:
V 0.0000 0.0000 0.0000  6 O 2.12-2.30
V 0.0000 0.5000 0.0000  6 O 2.12-2.30
V 0.5000 0.0000 0.5000  6 O 2.12-2.30
V 0.5000 0.5000 0.5000  6 O 2.12-2.30
S 0.1766 0.2500 0.4876  4 O 1.47-1.52
S 0.3234 0.7500 0.9876  4 O 1.47-1.52
S 0.6766 0.2500 0.0124  4 O 1.47-1.52
S 0.8234 0.7500 0.5124  4 O 1.47-1.52
O 0.1214 0.2500 0.7789  1 S 1.51
O 0.1260 0.0701 0.3536  1 S 1.47
O 0.1260 0.4299 0.3536  1 S 1.47
O 0.1534 0.7500 0.9809  1 S 1.52
O 0.3466 0.2500 0.4809  1 S 1.52
O 0.3740 0.5701 0.8536  1 S 1.47
O 0.3740 0.9299 0.8536  1 S 1.47
O 0.3786 0.7500 0.2789  1 S 1.51
O 0.6214 0.2500 0.7211  1 S 1.51
O 0.6260 0.0701 0.1464  1 S 1.47
O 0.6260 0.4299 0.1464  1 S 1.47
O 0.6534 0.7500 0.5191  1 S 1.52
O 0.8466 0.2500 0.0191  1 S 1.52
O 0.8740 0.5701 0.6464  1 S 1.47
O 0.8740 0.9299 0.6464  1 S 1.47
O 0.8786 0.7500 0.2211  1 S 1.51

---

No. 4
The following is a DFT calculation (PBE with a Hubbard U) of a relaxed structure of V2S3O12.

The value obtained for the magnetization is 8.00 μB/cell. The space-group type is C2/c. The calculation puts the energy relative to the lowest polymorph listed for this composition at 0.061 eV/atom. The formation energy comes out at -2.0268 eV/atom.

Cell lengths 7.7163, 7.7163, 8.6691 Å; angles 110.26, 110.26, 64.84 degrees
With the nearest neighbours (Å) after each atom.
Sites, in units of the cell vectors:
V 0.1197 0.6279 0.9800  6 O 1.99-2.20
V 0.3721 0.8803 0.5200  6 O 1.99-2.20
V 0.6279 0.1197 0.4800  6 O 1.99-2.20
V 0.8803 0.3721 0.0200  6 O 1.99-2.20
S 0.0223 0.2629 0.6680  4 O 1.42-1.58
S 0.2629 0.0223 0.1680  4 O 1.42-1.58
S 0.4462 0.5538 0.7500  4 O 1.47-1.49
S 0.5538 0.4462 0.2500  4 O 1.47-1.49
S 0.7371 0.9777 0.8320  4 O 1.42-1.58
S 0.9777 0.7371 0.3320  4 O 1.42-1.58
O 0.0319 0.3665 0.8620  1 S 1.58
O 0.0395 0.5914 0.4238  1 S 1.42
O 0.1080 0.8520 0.3820  1 S 1.48
O 0.1231 0.2296 0.1694  1 S 1.50
O 0.1480 0.8920 0.1180  1 S 1.48
O 0.2296 0.1231 0.6694  1 S 1.50
O 0.2809 0.5929 0.8199  1 S 1.47
O 0.3665 0.0319 0.3620  1 S 1.58
O 0.3694 0.4657 0.1144  1 S 1.49
O 0.4071 0.7191 0.6801  1 S 1.47
O 0.4086 0.9605 0.0762  1 S 1.42
O 0.4657 0.3694 0.6144  1 S 1.49
O 0.5343 0.6306 0.3856  1 S 1.49
O 0.5914 0.0395 0.9238  1 S 1.42
O 0.5929 0.2809 0.3199  1 S 1.47
O 0.6306 0.5343 0.8856  1 S 1.49
O 0.6335 0.9681 0.6380  1 S 1.58
O 0.7191 0.4071 0.1801  1 S 1.47
O 0.7704 0.8769 0.3306  1 S 1.50
O 0.8520 0.1080 0.8820  1 S 1.48
O 0.8769 0.7704 0.8306  1 S 1.50
O 0.8920 0.1480 0.6180  1 S 1.48
O 0.9605 0.4086 0.5762  1 S 1.42
O 0.9681 0.6335 0.1380  1 S 1.58

---

What is the formula in the third record?
VSO4